Compound: LiY3
Source: the Materials Project
Functional: GGA-PBE
Structure: optimized geometry

Geometry as POSCAR:
```
LiY3
1.0
4.9197 0.0000 0.0000
0.0000 4.9197 0.0000
0.0000 0.0000 4.9197
Li Y
1 3
Direct
0.0000 0.0000 0.0000
0.0000 0.5000 0.5000
0.5000 0.0000 0.5000
0.5000 0.5000 0.0000
```

Values from the calculation:
The energy above the lowest structure with this stoichiometry comes out at 0.0049 eV/atom. The formation energy is 0.198 eV per atom. The calculated volume comes out at 29.8 A^3/atom. The total moment comes out at 0.055 Bohr magnetons per cell. The space-group type is No. 221.

Compound: Gd2ReC2
Source: the Materials Project
Functional: GGA-PBE
Structure: optimized geometry

Geometry as POSCAR:
```
Gd2ReC2
1.0
6.6065 0.0000 0.0000
0.0000 5.1935 0.0000
0.0000 0.0000 9.9502
Gd Re C
8 4 8
Direct
0.0295 0.2500 0.2158
0.1836 0.2500 0.5536
0.3164 0.7500 0.0536
0.4705 0.7500 0.7158
0.5295 0.2500 0.2842
0.6836 0.2500 0.9464
0.8164 0.7500 0.4464
0.9705 0.7500 0.7842
0.2239 0.2500 0.8637
0.2761 0.7500 0.3637
0.7239 0.2500 0.6363
0.7761 0.7500 0.1363
0.0415 0.7500 0.2413
0.1795 0.7500 0.5470
0.3205 0.2500 0.0470
0.4585 0.2500 0.7413
0.5415 0.7500 0.2587
0.6795 0.7500 0.9530
0.8205 0.2500 0.4530
0.9585 0.2500 0.7587
```

Values from the calculation:
The formation energy is -0.368 eV per atom. The calculated volume comes out at 17.1 A^3/atom. The space-group type is No. 62.

Compound: TbIn5Co
Source: the Materials Project
Functional: GGA-PBE
Structure: optimized geometry

Geometry as POSCAR:
```
TbIn5Co
1.0
4.4244 0.0000 0.0000
0.0000 4.4244 0.0000
0.0000 0.0000 8.3913
Tb In Co
1 5 1
Direct
0.0000 0.0000 0.0000
0.0000 0.5000 0.2614
0.0000 0.5000 0.7386
0.5000 0.0000 0.2614
0.5000 0.0000 0.7386
0.5000 0.5000 0.5000
0.0000 0.0000 0.5000
```

Values from the calculation:
The formation energy is 0.078 eV per atom. The calculated volume comes out at 23.5 A^3/atom. The total moment comes out at 0.717 Bohr magnetons per cell. The space-group type is No. 123.

Compound: Na6Ti4Al4Si5S7O48
Source: the Materials Project
Functional: GGA-PBE
Structure: optimized geometry

Geometry as POSCAR:
```
Na6Ti4Al4Si5S7O48
1.0
8.6281 0.0000 0.0000
-0.0357 14.9038 0.0000
-0.0399 -0.0281 22.1597
Na Ti Al Si S O
18 12 12 15 21 144
Direct
0.0000 0.0000 0.0000
0.0001 0.3270 0.3260
0.0060 0.0027 0.4941
0.0061 0.6709 0.1619
0.0110 0.3309 0.8325
0.1424 0.5002 0.2450
0.1423 0.8369 0.5740
0.3686 0.3378 0.0806
0.3702 0.0014 0.7437
0.4963 0.8300 0.3312
0.5008 0.1729 0.6596
0.5012 0.5020 0.9971
0.5050 0.1722 0.1703
0.5103 0.5012 0.4957
0.5148 0.8257 0.8301
0.6395 0.0044 0.2481
0.8645 0.5047 0.7469
0.9994 0.6661 0.6667
0.0066 0.3374 0.4752
0.0103 0.6758 0.0227
0.0163 0.0052 0.1474
0.0178 0.0032 0.3481
0.0193 0.3378 0.9720
0.4888 0.5036 0.8487
0.4891 0.8383 0.4693
0.4909 0.5051 0.6467
0.4959 0.1753 0.5212
0.5036 0.8361 0.9780
0.5093 0.4949 0.3549
0.9906 0.0025 0.8585
0.0100 0.0056 0.6423
0.0131 0.3359 0.1867
0.0196 0.3372 0.6820
0.4857 0.8339 0.1839
0.4922 0.4990 0.1452
0.5095 0.1807 0.8179
0.5089 0.8319 0.6796
0.5153 0.1780 0.3012
0.5169 0.1736 0.0123
0.9888 0.6689 0.8073
0.9922 0.6699 0.5079
0.9951 0.6787 0.3170
0.1361 0.8124 0.4138
0.1468 0.4801 0.0841
0.2023 0.5028 0.7481
0.2164 0.8410 0.0819
0.2909 0.3396 0.5819
0.3052 0.0012 0.2485
0.3600 0.3573 0.2454
0.3621 0.9791 0.5845
0.3685 0.3125 0.9143
0.6441 0.6537 0.7460
0.6482 0.3065 0.4119
0.7169 0.6690 0.4137
0.7839 0.1735 0.9148
0.8581 0.8061 0.9118
0.8631 0.1523 0.2460
0.1449 0.5279 0.4132
0.1465 0.1476 0.7465
0.1462 0.8577 0.7462
0.1508 0.1904 0.0794
0.2179 0.1695 0.4132
0.2874 0.6701 0.9124
0.3572 0.6905 0.5796
0.3602 0.6485 0.2465
0.3632 0.0274 0.9125
0.6431 0.6910 0.0841
0.6439 0.9830 0.0809
0.6485 0.0278 0.4132
0.6488 0.3521 0.7459
0.7168 0.0038 0.7453
0.7179 0.3358 0.0815
0.7905 0.5051 0.2453
0.7932 0.8359 0.5821
0.8583 0.8522 0.2457
0.8587 0.5268 0.9131
0.8629 0.4825 0.5806
0.8640 0.1918 0.5838
0.0609 0.9129 0.4078
0.0661 0.5773 0.0714
0.0686 0.4333 0.1422
0.0717 0.4370 0.4188
0.0732 0.2361 0.7392
0.0751 0.8996 0.6912
0.0764 0.1010 0.0850
0.0763 0.7693 0.4776
0.0780 0.5660 0.3571
0.0780 0.7682 0.7526
0.0810 0.1057 0.8011
0.0809 0.2295 0.0245
0.0883 0.4163 0.7389
0.0996 0.9260 0.0856
0.1007 0.5920 0.7584
0.1083 0.7504 0.0742
0.1146 0.0896 0.4097
0.1158 0.2503 0.4197
0.1156 0.5817 0.4684
0.1204 0.0882 0.6927
0.1203 0.4141 0.0248
0.1223 0.7505 0.3546
0.1241 0.9177 0.7992
0.1280 0.2475 0.1333
0.1710 0.3537 0.2407
0.1712 0.9878 0.5919
0.1782 0.3256 0.9198
0.1809 0.3513 0.5217
0.1839 0.3181 0.6389
0.1855 0.6800 0.5748
0.1863 0.6548 0.2514
0.1884 0.9797 0.3052
0.1900 0.0167 0.1897
0.1920 0.0164 0.9062
0.1935 0.6829 0.8582
0.1971 0.6548 0.9681
0.3085 0.1546 0.4691
0.3120 0.1828 0.3590
0.3145 0.5186 0.4099
0.3174 0.5181 0.6897
0.3175 0.4814 0.8053
0.3180 0.8502 0.7398
0.3200 0.1537 0.7514
0.3228 0.1797 0.0733
0.3251 0.8184 0.1378
0.3274 0.8252 0.4193
0.3269 0.8508 0.0210
0.3366 0.4912 0.0884
0.3810 0.7482 0.6341
0.3822 0.2517 0.8543
0.3858 0.5914 0.1919
0.3858 0.9122 0.5263
0.3884 0.0816 0.9671
0.3880 0.4275 0.3031
0.3904 0.7509 0.9185
0.3909 0.5900 0.9086
0.4001 0.2501 0.5744
0.4074 0.4258 0.5870
0.4089 0.0882 0.2591
0.4169 0.9142 0.2390
0.4275 0.6106 0.3014
0.4272 0.7301 0.5254
0.4289 0.0661 0.8558
0.4313 0.6015 0.5860
0.4322 0.2689 0.9767
0.4326 0.2600 0.2533
0.4331 0.7382 0.2386
0.4343 0.9317 0.6449
0.4341 0.9365 0.9178
0.4380 0.4030 0.1860
0.4408 0.0767 0.5739
0.4457 0.4131 0.9069
0.5642 0.7506 0.7355
0.5651 0.0709 0.0735
0.5691 0.6003 0.8045
0.5718 0.2644 0.4735
0.5734 0.4082 0.4074
0.5744 0.2622 0.7527
0.5736 0.6007 0.0909
0.5750 0.7308 0.0278
0.5768 0.0637 0.3579
0.5771 0.3931 0.6917
0.5787 0.9357 0.4199
0.5803 0.9397 0.1358
0.5980 0.5839 0.4034
0.6095 0.2550 0.0763
0.6096 0.7589 0.4250
0.6118 0.0829 0.7512
0.6163 0.9251 0.0258
0.6169 0.4178 0.0873
0.6172 0.9224 0.7404
0.6187 0.0810 0.4680
0.6187 0.2455 0.3545
0.6187 0.7497 0.1370
0.6209 0.5830 0.6885
0.6312 0.4097 0.8002
0.6719 0.8241 0.9224
0.6779 0.1512 0.2528
0.6865 0.1461 0.9736
0.6874 0.8439 0.2368
0.6895 0.1831 0.8525
0.6891 0.5166 0.9071
0.6935 0.4911 0.5853
0.6929 0.5218 0.1913
0.6947 0.1809 0.5775
0.6960 0.8202 0.6365
0.6968 0.4921 0.3004
0.7029 0.8509 0.5278
0.8086 0.3477 0.0261
0.8131 0.3202 0.1357
0.8130 0.6822 0.0766
0.8129 0.9903 0.8003
0.8135 0.9913 0.0843
0.8163 0.6467 0.4738
0.8175 0.0172 0.6918
0.8181 0.0165 0.4083
0.8180 0.6849 0.3536
0.8195 0.3435 0.7372
0.8315 0.6565 0.7527
0.8353 0.3232 0.4245
0.8758 0.9097 0.3001
0.8873 0.4236 0.2398
0.8883 0.0814 0.1883
0.8881 0.5815 0.9671
0.8899 0.2491 0.6377
0.8905 0.4252 0.5265
0.8936 0.7488 0.8530
0.8949 0.9177 0.5916
0.8984 0.2591 0.9232
0.8989 0.7560 0.5780
0.8995 0.5840 0.2522
0.9032 0.0850 0.9043
0.9266 0.4398 0.6365
0.9289 0.4359 0.9187
0.9300 0.5640 0.8572
0.9300 0.8932 0.1915
0.9322 0.7628 0.2524
0.9333 0.1003 0.5917
0.9336 0.2294 0.5284
0.9362 0.7656 0.9727
0.9359 0.9085 0.9043
0.9371 0.2491 0.2350
0.9406 0.0989 0.3044
0.9418 0.5712 0.5744
```

Values from the calculation:
The formation energy is -2.648 eV per atom. The calculated volume comes out at 12.8 A^3/atom. The total moment comes out at 0.000 Bohr magnetons per cell. The space-group type is No. 1.